Entry 1:
VASP calculation (PBE-GGA) on an optimized crystal structure of ErSnRh2.

Calculated values
Calculated formation energy in eV/f.u.: -3.301

Cell lengths 6.6306, 6.6306, 6.6306 Å; angles 90.00, 90.00, 90.00 degrees
Space group Fm-3m (No. 225)
One atom of each set of equivalent atoms:
Er  0.0000  0.0000  0.0000 (multiplicity 4)
Sn  0.0000  0.0000  0.5000 (multiplicity 4)
Rh  0.2500  0.2500  0.2500 (multiplicity 8)



Entry 2:
VASP calculation (PBE-GGA) on an optimized crystal structure of ErSnRh.

Calculated values
Calculated formation energy in eV/f.u.: -2.717

Cell lengths 7.6185, 7.6185, 3.7414 Å; angles 90.00, 90.00, 120.00 degrees
Space group P-62m (No. 189)
One atom of each set of equivalent atoms:
Er  0.0000  0.5969  0.0000 (multiplicity 3)
Sn  0.0000  0.2651  0.5000 (multiplicity 3)
Rh  0.0000  0.0000  0.0000 (multiplicity 1)
Rh  0.3333  0.6667  0.5000 (multiplicity 2)



Entry 3:
VASP calculation (PBE-GGA) on an optimized crystal structure of TbErRh2.

Calculated values
Calculated formation energy in eV/f.u.: -3.556

Cell lengths 6.8497, 6.8497, 6.8497 Å; angles 90.00, 90.00, 90.00 degrees
Space group Fm-3m (No. 225)
One atom of each set of equivalent atoms:
Tb  0.0000  0.0000  0.0000 (multiplicity 4)
Er  0.0000  0.0000  0.5000 (multiplicity 4)
Rh  0.2500  0.2500  0.2500 (multiplicity 8)



Entry 4:
VASP calculation (PBE-GGA) on an optimized crystal structure of YErRh2.

Calculated values
Calculated formation energy in eV/f.u.: -3.551

Cell lengths 6.8493, 6.8493, 6.8493 Å; angles 90.00, 90.00, 90.00 degrees
Space group Fm-3m (No. 225)
One atom of each set of equivalent atoms:
Y  0.0000  0.0000  0.0000 (multiplicity 4)
Er  0.0000  0.0000  0.5000 (multiplicity 4)
Rh  0.2500  0.2500  0.2500 (multiplicity 8)



Entry 5:
VASP calculation (PBE-GGA) on an optimized crystal structure of ErZnRh.

Calculated values
Calculated formation energy in eV/f.u.: -2.254

Cell lengths 6.9031, 4.0556, 8.0518 Å; angles 90.00, 90.00, 90.00 degrees
Space group Pnma (No. 62)
One atom of each set of equivalent atoms:
Er  0.0308  0.2500  0.1834 (multiplicity 4)
Zn  0.1418  0.2500  0.5642 (multiplicity 4)
Rh  0.2396  0.7500  0.3767 (multiplicity 4)



Entry 6:
VASP calculation (PBE-GGA) on an optimized crystal structure of ErRu2.

Calculated values
Calculated formation energy in eV/f.u.: -1.088

Cell lengths 5.2563, 5.2563, 8.9004 Å; angles 90.00, 90.00, 120.00 degrees
Space group P6_3/mmc (No. 194)
One atom of each set of equivalent atoms:
Er  0.3333  0.6667  0.0669 (multiplicity 4)
Ru  0.0000  0.0000  0.0000 (multiplicity 2)
Ru  0.1709  0.3418  0.7500 (multiplicity 6)



Entry 7:
VASP calculation (PBE-GGA) on an optimized crystal structure of Er5Ru2.

Calculated values
Calculated formation energy in eV/f.u.: -2.739
Spin magnetization in μB per formula unit: 0.01

Cell lengths 15.5635, 6.2615, 7.2605 Å; angles 90.00, 97.27, 90.00 degrees
Space group C2/c (No. 15)
One atom of each set of equivalent atoms:
Er  0.0000  0.0819  0.2500 (multiplicity 4)
Er  0.0931  0.3844  0.9154 (multiplicity 8)
Er  0.2177  0.0769  0.3148 (multiplicity 8)
Ru  0.1100  0.2122  0.5764 (multiplicity 8)



Entry 8:
VASP calculation (PBE-GGA) on an optimized crystal structure of Er3Ru.

Calculated values
Calculated formation energy in eV/f.u.: -1.418
Spin magnetization in μB per formula unit: 0.00

Cell lengths 7.2724, 9.1011, 6.2367 Å; angles 90.00, 90.00, 90.00 degrees
Space group Pnma (No. 62)
One atom of each set of equivalent atoms:
Er  0.0383  0.2500  0.1336 (multiplicity 4)
Er  0.1771  0.0640  0.6687 (multiplicity 8)
Ru  0.1161  0.7500  0.4579 (multiplicity 4)



Entry 9:
VASP calculation (PBE-GGA) on an optimized crystal structure of ErScRu2.

Calculated values
Calculated formation energy in eV/f.u.: -1.817

Cell lengths 6.5852, 6.5852, 6.5852 Å; angles 90.00, 90.00, 90.00 degrees
Space group Fm-3m (No. 225)
One atom of each set of equivalent atoms:
Er  0.0000  0.0000  0.0000 (multiplicity 4)
Sc  0.0000  0.0000  0.5000 (multiplicity 4)
Ru  0.2500  0.2500  0.2500 (multiplicity 8)



Entry 10:
VASP calculation (PBE-GGA) on an optimized crystal structure of ErSiRu.

Calculated values
Calculated formation energy in eV/f.u.: -2.562

Cell lengths 6.9446, 4.3054, 7.1135 Å; angles 90.00, 90.00, 90.00 degrees
Space group Pnma (No. 62)
One atom of each set of equivalent atoms:
Er  0.0120  0.2500  0.1875 (multiplicity 4)
Si  0.1977  0.2500  0.6066 (multiplicity 4)
Ru  0.1543  0.7500  0.4340 (multiplicity 4)



Entry 11:
VASP calculation (PBE-GGA) on an optimized crystal structure of ErSi2Ru2.

Calculated values
Calculated formation energy in eV/f.u.: -4.556

Cell lengths 4.1768, 4.1768, 9.5046 Å; angles 90.00, 90.00, 90.00 degrees
Space group I4/mmm (No. 139)
One atom of each set of equivalent atoms:
Er  0.0000  0.0000  0.0000 (multiplicity 2)
Si  0.0000  0.0000  0.3691 (multiplicity 4)
Ru  0.0000  0.5000  0.2500 (multiplicity 4)



Entry 12:
VASP calculation (PBE-GGA) on an optimized crystal structure of ErTaRu2.

Calculated values
Calculated formation energy in eV/f.u.: -1.711

Cell lengths 6.5222, 6.5222, 6.5222 Å; angles 90.00, 90.00, 90.00 degrees
Space group Fm-3m (No. 225)
One atom of each set of equivalent atoms:
Er  0.0000  0.0000  0.0000 (multiplicity 4)
Ta  0.0000  0.0000  0.5000 (multiplicity 4)
Ru  0.2500  0.2500  0.2500 (multiplicity 8)



Question: Number 5 is which compound?
Answer: ErZnRh



Question: Among the records above, which one has the highest calculated formation energy?
Answer: ErRu2